Record 1
ZnCu2SnS4 | Materials Project | meta-GGA r2SCAN | relaxed; DFT formation energy = -4.49 eV per formula unit
1.0
-1.538 -5.858 2.690
-4.347 0.900 4.920
0.055 2.098 -6.286
Zn Cu Sn S
1 2 1 4
direct
0.750 0.250 0.500
0.000 0.000 0.000
0.250 0.750 0.500
0.500 0.500 0.000
0.364 0.371 0.478
0.894 0.887 0.522
0.113 0.636 0.007
0.629 0.106 0.993

Record 2
Cs2Li3Br5 | Materials Project | meta-GGA r2SCAN | relaxed; DFT formation energy = -18.66 eV per formula unit
1.0
2.174 7.874 -0.024
-2.174 7.874 -0.024
0.000 4.273 9.112
Cs Li Br
2 3 5
direct
0.188 0.188 0.273
0.812 0.812 0.727
0.452 0.452 0.293
0.548 0.548 0.707
0.000 0.000 0.000
0.598 0.598 0.062
0.402 0.402 0.938
0.131 0.131 0.702
0.500 0.500 0.500
0.869 0.869 0.298

Record 3
LuBRh3 | Materials Project | meta-GGA r2SCAN | relaxed; DFT formation energy = -4.44 eV per formula unit
1.0
-3.344 -1.963 -1.442
2.022 -3.603 0.217
-1.359 -0.529 3.872
Lu B Rh
1 1 3
direct
0.000 0.000 0.000
0.500 0.500 0.500
0.000 0.500 0.500
0.500 0.500 0.000
0.500 0.000 0.500

Record 4
Ce3P6Pd20 | Materials Project | meta-GGA r2SCAN | relaxed; DFT formation energy = -20.77 eV per formula unit
1.0
-0.003 6.150 6.151
6.150 -0.003 6.151
6.150 6.150 -0.002
Ce P Pd
3 6 20
direct
0.250 0.250 0.250
0.750 0.750 0.750
0.000 0.000 0.000
0.736 0.263 0.263
0.264 0.737 0.737
0.263 0.736 0.263
0.737 0.264 0.737
0.263 0.263 0.736
0.737 0.737 0.264
0.386 0.386 0.386
0.614 0.614 0.614
0.385 0.385 0.843
0.385 0.843 0.385
0.615 0.615 0.157
0.615 0.157 0.615
0.843 0.385 0.385
0.157 0.615 0.615
0.346 0.000 0.000
0.654 0.000 0.000
0.000 0.347 0.653
0.000 0.653 0.347
0.000 0.346 0.000
0.653 0.000 0.347
0.000 0.654 0.000
0.347 0.000 0.653
0.000 0.000 0.346
0.000 0.000 0.654
0.653 0.347 0.000
0.347 0.653 0.000

Record 5
SmPd3 | Materials Project | meta-GGA r2SCAN | relaxed; DFT formation energy = -3.42 eV per formula unit
1.0
-3.892 -1.413 -0.009
0.107 -0.267 -4.131
1.409 -3.883 0.288
Sm Pd
1 3
direct
0.000 0.000 0.000
0.000 0.500 0.500
0.500 0.500 0.000
0.500 0.000 0.500

Record 6
CoBr2 | Materials Project | meta-GGA r2SCAN | relaxed; DFT formation energy = -1.96 eV per formula unit
1.0
-3.667 0.362 -0.659
1.280 -2.977 1.874
-0.678 3.185 5.524
Co Br
1 2
direct
0.000 0.000 0.000
0.333 0.667 0.222
0.667 0.333 0.778